DFT (PBE-GGA) results for Na14La4Hf4Si9S3O48 after structural relaxation.

Results
- Calculated total energy: -0.2637 Ha/atom
- Volume: 1195 Å³/f.u.
- Total magnetic moment: 0.000 μB/atom
- Symmetry: P1, No. 1
- Formation enthalpy at 0 K: -2.982 eV/atom

a b c (Å): 9.4911 16.4763 22.9339
angles (deg): 90.22 90.00 90.01
Positions (direct):
Na: 0.0000 0.0000 0.0000
Na: 0.9996 0.6615 0.3353
Na: 0.0063 0.9641 0.6694
Na: 0.0212 0.6537 0.6626
Na: 0.0232 0.3152 0.0124
Na: 0.0554 0.9974 0.3263
Na: 0.1651 0.8257 0.7482
Na: 0.1676 0.1468 0.4135
Na: 0.1697 0.4705 0.5790
Na: 0.1812 0.8301 0.2394
Na: 0.1831 0.4795 0.0823
Na: 0.1875 0.1326 0.9211
Na: 0.2908 0.9893 0.8378
Na: 0.3071 0.3180 0.5037
Na: 0.3336 0.6552 0.1570
Na: 0.3465 0.9764 0.1638
Na: 0.3492 0.0147 0.4943
Na: 0.3528 0.6594 0.8412
Na: 0.3803 0.2967 0.8151
Na: 0.4756 0.8028 0.3103
Na: 0.5000 0.1611 0.3229
Na: 0.5025 0.5122 0.0008
Na: 0.5130 0.4686 0.6663
Na: 0.5198 0.1558 0.6554
Na: 0.5457 0.8212 0.0077
Na: 0.5629 0.4868 0.3331
Na: 0.6591 0.6313 0.4118
Na: 0.6680 0.3244 0.7423
Na: 0.6697 0.9816 0.5799
Na: 0.6726 0.3139 0.2415
Na: 0.6768 0.9797 0.0829
Na: 0.6827 0.6490 0.9228
Na: 0.7937 0.4950 0.8352
Na: 0.8164 0.1530 0.1610
Na: 0.8289 0.8171 0.5004
Na: 0.8423 0.4607 0.1664
Na: 0.8510 0.4935 0.4904
Na: 0.8527 0.1587 0.8400
Na: 0.8694 0.1445 0.4885
Na: 0.8731 0.7985 0.8289
Na: 0.9759 0.2967 0.3225
Na: 0.9830 0.6428 0.9939
La: 0.1690 0.8213 0.9016
La: 0.1731 0.4925 0.9322
La: 0.1801 0.1520 0.2511
La: 0.1812 0.1561 0.5695
La: 0.1821 0.8194 0.3973
La: 0.1872 0.1438 0.7584
La: 0.6654 0.6451 0.2578
La: 0.6706 0.6563 0.0704
La: 0.6723 0.3180 0.9006
La: 0.6768 0.9946 0.4291
La: 0.6821 0.3208 0.3987
La: 0.6826 0.6511 0.7557
Hf: 0.1683 0.8196 0.5938
Hf: 0.1704 0.4955 0.4372
Hf: 0.1744 0.1484 0.0707
Hf: 0.1765 0.4832 0.2269
Hf: 0.1775 0.4876 0.7266
Hf: 0.1799 0.8294 0.0890
Hf: 0.6678 0.9930 0.2244
Hf: 0.6730 0.3282 0.5898
Hf: 0.6750 0.9837 0.7266
Hf: 0.6802 0.3148 0.0957
Hf: 0.6835 0.9964 0.9381
Hf: 0.6892 0.6499 0.5657
Si: 0.0170 0.9961 0.1637
Si: 0.0180 0.6697 0.4956
Si: 0.0218 0.9684 0.4953
Si: 0.0229 0.3081 0.1613
Si: 0.0296 0.6391 0.8246
Si: 0.3201 0.6273 0.3288
Si: 0.3255 0.6695 0.9969
Si: 0.3312 0.9786 0.9940
Si: 0.3358 0.9869 0.6610
Si: 0.3438 0.3135 0.6632
Si: 0.3757 0.9861 0.3307
Si: 0.4734 0.4858 0.8296
Si: 0.4826 0.1561 0.1673
Si: 0.5065 0.8125 0.1633
Si: 0.5152 0.4887 0.1609
Si: 0.5216 0.4779 0.4954
Si: 0.5278 0.1700 0.4980
Si: 0.5332 0.1276 0.8288
Si: 0.8265 0.4673 0.9952
Si: 0.8279 0.1389 0.3254
Si: 0.8300 0.8077 0.6617
Si: 0.8353 0.4970 0.6635
Si: 0.8430 0.1703 0.9938
Si: 0.8722 0.8222 0.9906
Si: 0.8878 0.4880 0.3292
Si: 0.9638 0.9873 0.8286
Si: 0.9791 0.3223 0.4915
S: 0.0023 0.6523 0.1639
S: 0.0282 0.3404 0.8238
S: 0.3110 0.3470 0.3325
S: 0.3666 0.6530 0.6628
S: 0.3704 0.3108 0.0006
S: 0.4803 0.8104 0.5017
S: 0.5374 0.8467 0.8312
S: 0.8220 0.8395 0.3254
S: 0.8504 0.1525 0.6641
O: 0.0043 0.8149 0.6498
O: 0.0045 0.8327 0.0375
O: 0.0093 0.4966 0.6654
O: 0.0140 0.1580 0.0057
O: 0.0272 0.7222 0.4358
O: 0.0339 0.2588 0.2221
O: 0.0574 0.5903 0.8855
O: 0.0582 0.0664 0.1134
O: 0.0577 0.0720 0.8314
O: 0.0676 0.9079 0.8249
O: 0.0755 0.2427 0.5031
O: 0.0773 0.3728 0.8800
O: 0.0773 0.4056 0.4931
O: 0.0777 0.9329 0.4326
O: 0.0796 0.0610 0.5018
O: 0.0796 0.3939 0.7751
O: 0.0824 0.5772 0.4926
O: 0.0830 0.4025 0.1654
O: 0.0828 0.5809 0.7685
O: 0.0849 0.9078 0.1463
O: 0.0874 0.2579 0.8171
O: 0.0878 0.7208 0.5500
O: 0.0928 0.9076 0.5465
O: 0.0944 0.2545 0.1078
O: 0.0950 0.7245 0.1565
O: 0.0963 0.5786 0.1687
O: 0.0974 0.0244 0.2233
O: 0.1172 0.7248 0.8206
O: 0.2435 0.0237 0.7163
O: 0.2436 0.7168 0.3271
O: 0.2474 0.5809 0.0059
O: 0.2505 0.2646 0.3326
O: 0.2557 0.9497 0.9333
O: 0.2577 0.3923 0.2805
O: 0.2585 0.0663 0.0109
O: 0.2648 0.7298 0.0493
O: 0.2653 0.8959 0.6510
O: 0.2672 0.3900 0.3866
O: 0.2666 0.7192 0.6485
O: 0.2684 0.5746 0.3859
O: 0.2719 0.5752 0.2703
O: 0.2753 0.2402 0.0089
O: 0.2767 0.2760 0.6042
O: 0.2780 0.4065 0.6720
O: 0.2797 0.0688 0.3290
O: 0.2821 0.5751 0.6636
O: 0.2826 0.9016 0.3209
O: 0.2863 0.3868 0.0055
O: 0.2887 0.9120 0.0458
O: 0.2915 0.7099 0.9333
O: 0.3183 0.2519 0.7189
O: 0.3191 0.0501 0.6069
O: 0.3328 0.8233 0.1565
O: 0.3447 0.4802 0.1721
O: 0.3461 0.1403 0.1233
O: 0.3487 0.4755 0.4908
O: 0.3527 0.4879 0.7760
O: 0.3563 0.1591 0.4997
O: 0.3599 0.1372 0.8311
O: 0.3684 0.8125 0.5469
O: 0.3814 0.8447 0.8266
O: 0.3936 0.4860 0.8927
O: 0.4166 0.8008 0.4433
O: 0.4200 0.1757 0.2315
O: 0.4282 0.6689 0.7207
O: 0.4326 0.3034 0.9412
O: 0.4521 0.9820 0.3951
O: 0.4670 0.3448 0.3279
O: 0.4789 0.6427 0.6184
O: 0.4833 0.3133 0.0447
O: 0.4933 0.6365 0.3315
O: 0.4970 0.6591 0.9986
O: 0.4985 0.9882 0.2790
O: 0.5045 0.9773 0.9904
O: 0.5067 0.9795 0.6719
O: 0.5181 0.3234 0.6580
O: 0.5282 0.5534 0.1072
O: 0.5282 0.7488 0.2180
O: 0.5612 0.2138 0.4358
O: 0.5631 0.4117 0.5477
O: 0.5645 0.8860 0.5059
O: 0.5669 0.5701 0.8267
O: 0.5677 0.4021 0.8218
O: 0.5736 0.7746 0.1042
O: 0.5738 0.9031 0.1743
O: 0.5760 0.0702 0.1670
O: 0.5759 0.7397 0.5109
O: 0.5809 0.0756 0.7699
O: 0.5839 0.8880 0.8852
O: 0.5846 0.0743 0.8854
O: 0.5873 0.2277 0.5526
O: 0.5889 0.5670 0.5146
O: 0.5907 0.4006 0.1496
O: 0.5917 0.8916 0.7791
O: 0.5949 0.2264 0.1481
O: 0.5950 0.7630 0.8301
O: 0.6043 0.4525 0.4356
O: 0.6041 0.5268 0.2168
O: 0.6057 0.0810 0.5050
O: 0.6087 0.2176 0.8272
O: 0.7399 0.2249 0.3206
O: 0.7524 0.4067 0.0439
O: 0.7554 0.0788 0.6687
O: 0.7552 0.7530 0.6093
O: 0.7578 0.2249 0.6575
O: 0.7583 0.5267 0.7236
O: 0.7610 0.7567 0.3197
O: 0.7659 0.4092 0.6475
O: 0.7692 0.0791 0.2720
O: 0.7703 0.5610 0.0009
O: 0.7696 0.8929 0.2782
O: 0.7706 0.2248 0.0456
O: 0.7717 0.9019 0.6653
O: 0.7727 0.0780 0.9919
O: 0.7740 0.9054 0.9926
O: 0.7762 0.7424 0.0028
O: 0.7774 0.4348 0.9300
O: 0.7776 0.8706 0.3833
O: 0.7836 0.4092 0.3245
O: 0.7895 0.5690 0.6148
O: 0.7945 0.5729 0.3320
O: 0.8005 0.0932 0.3882
O: 0.8205 0.7574 0.7223
O: 0.8276 0.2191 0.9320
O: 0.8440 0.6582 0.5072
O: 0.8441 0.9945 0.1672
O: 0.8494 0.3332 0.5401
O: 0.8506 0.3182 0.1487
O: 0.8509 0.9605 0.5037
O: 0.8577 0.6521 0.8236
O: 0.8582 0.9886 0.8860
O: 0.8626 0.9864 0.7692
O: 0.8721 0.3377 0.8201
O: 0.9056 0.3074 0.4283
O: 0.9139 0.6375 0.1120
O: 0.9159 0.6623 0.2169
O: 0.9368 0.1618 0.7171
O: 0.9379 0.1376 0.6122
O: 0.9424 0.8063 0.9266
O: 0.9785 0.8344 0.3212
O: 0.9912 0.4881 0.2708
O: 0.9913 0.4891 0.3877
O: 0.9982 0.4609 0.0045
O: 0.9991 0.1512 0.3229

DFT (PBE-GGA) results for Na2NbGa3Si2S4O24 after structural relaxation.

Results
- Calculated total energy: -0.2385 Ha/atom
- Volume: 488 Å³/f.u.
- Total magnetic moment: 0.000 μB/atom
- Symmetry: P1, No. 1
- Formation enthalpy at 0 K: -2.283 eV/atom

a b c (Å): 8.6534 8.6691 22.5243
angles (deg): 90.47 90.19 119.90
Positions (direct):
Na: 0.0000 0.0000 0.0000
Na: 0.0059 0.9993 0.4996
Na: 0.3399 0.6694 0.6678
Na: 0.3477 0.6751 0.1612
Na: 0.6702 0.3232 0.3331
Na: 0.6859 0.3454 0.8334
Nb: 0.3315 0.6561 0.8157
Nb: 0.3517 0.6873 0.3116
Nb: 0.6918 0.3345 0.9796
Ga: 0.0109 0.0051 0.3515
Ga: 0.0123 0.9999 0.1459
Ga: 0.0132 0.9926 0.6538
Ga: 0.3586 0.6758 0.5165
Ga: 0.3609 0.6673 0.0191
Ga: 0.6546 0.3046 0.1851
Ga: 0.6740 0.3214 0.4817
Ga: 0.6888 0.3455 0.6884
Ga: 0.9926 0.9827 0.8575
Si: 0.0054 0.7140 0.7498
Si: 0.0646 0.3702 0.9214
Si: 0.2921 0.0178 0.2501
Si: 0.6371 0.6704 0.9194
Si: 0.6488 0.9661 0.4217
Si: 0.6756 0.0304 0.0870
S: 0.0070 0.2882 0.2511
S: 0.0524 0.6662 0.4201
S: 0.3002 0.2838 0.7496
S: 0.3394 0.9542 0.9190
S: 0.3449 0.3774 0.4196
S: 0.3871 0.3337 0.0859
S: 0.3880 0.0459 0.5852
S: 0.6762 0.6211 0.5836
S: 0.7232 0.0044 0.7490
S: 0.7264 0.7070 0.2503
S: 0.9686 0.6229 0.0876
S: 0.9714 0.3336 0.5843
O: 0.0379 0.8262 0.4129
O: 0.0430 0.1814 0.9062
O: 0.0433 0.2135 0.1981
O: 0.0494 0.8302 0.6898
O: 0.1336 0.6331 0.3655
O: 0.1407 0.4988 0.8607
O: 0.1428 0.6379 0.0795
O: 0.1506 0.4956 0.5770
O: 0.1644 0.6942 0.4736
O: 0.1681 0.9644 0.1918
O: 0.1736 0.4681 0.2603
O: 0.1767 0.4712 0.9790
O: 0.1868 0.1993 0.4135
O: 0.1873 0.6930 0.7571
O: 0.1876 0.9792 0.9106
O: 0.1888 0.2128 0.6950
O: 0.2057 0.0315 0.3119
O: 0.2091 0.0305 0.5902
O: 0.2119 0.1699 0.0904
O: 0.2231 0.1827 0.8032
O: 0.3107 0.4556 0.4737
O: 0.3112 0.8478 0.9719
O: 0.3143 0.8296 0.2594
O: 0.3220 0.4681 0.7545
O: 0.3654 0.4908 0.0810
O: 0.3671 0.8643 0.5787
O: 0.3715 0.4869 0.3658
O: 0.3756 0.8765 0.8642
O: 0.4677 0.1547 0.5313
O: 0.4716 0.3072 0.0321
O: 0.4793 0.3036 0.7418
O: 0.4932 0.8415 0.0777
O: 0.4957 0.1802 0.2467
O: 0.4997 0.3693 0.1399
O: 0.5008 0.1271 0.6388
O: 0.5041 0.1330 0.9236
O: 0.5099 0.3662 0.4263
O: 0.5114 0.6361 0.5782
O: 0.5112 0.6375 0.8587
O: 0.5132 0.8654 0.3618
O: 0.5381 0.6834 0.2587
O: 0.5446 0.8418 0.7548
O: 0.5517 0.7056 0.9762
O: 0.5530 0.8363 0.4768
O: 0.6446 0.1256 0.1434
O: 0.6457 0.4851 0.9261
O: 0.6459 0.5116 0.6371
O: 0.6559 0.1572 0.4255
O: 0.6978 0.1608 0.7417
O: 0.7051 0.5297 0.2432
O: 0.7073 0.1643 0.0281
O: 0.7068 0.5395 0.5297
O: 0.7938 0.8194 0.1979
O: 0.8010 0.9728 0.6945
O: 0.8273 0.7854 0.3055
O: 0.8313 0.8385 0.9128
O: 0.8318 0.0392 0.8027
O: 0.8339 0.5117 0.7435
O: 0.8351 0.8023 0.5894
O: 0.8389 0.9791 0.4077
O: 0.8552 0.3184 0.2451
O: 0.8548 0.5402 0.0317
O: 0.8593 0.0212 0.0928
O: 0.8595 0.3017 0.5303
O: 0.8659 0.3564 0.9246
O: 0.8745 0.5055 0.4254
O: 0.8829 0.5139 0.1399
O: 0.8916 0.3654 0.6378
O: 0.9753 0.1816 0.3052
O: 0.9812 0.8053 0.8085
O: 0.9818 0.7993 0.0899
O: 0.9892 0.1719 0.5916

DFT (PBE-GGA) results for Sr8La3Ru3O21 after structural relaxation.

Results
- Calculated total energy: -0.2543 Ha/atom
- Volume: 536 Å³/f.u.
- Total magnetic moment: 0.200 μB/atom
- Symmetry: P1, No. 1
- Formation enthalpy at 0 K: -2.759 eV/atom

a b c (Å): 5.7722 6.9564 14.8635
angles (deg): 98.70 90.18 114.40
Positions (direct):
Sr: 0.0000 0.0000 0.0000
Sr: 0.0183 0.0348 0.7580
Sr: 0.3035 0.5536 0.9417
Sr: 0.3583 0.7113 0.4211
Sr: 0.4247 0.8230 0.1606
Sr: 0.6703 0.3417 0.3409
Sr: 0.7419 0.4562 0.7950
Sr: 0.9729 0.8970 0.2803
La: 0.0866 0.1800 0.5300
La: 0.3603 0.7105 0.6679
La: 0.6858 0.3595 0.0861
Ru: 0.1719 0.3497 0.2105
Ru: 0.5030 0.0082 0.8750
Ru: 0.8326 0.6723 0.5424
O: 0.0204 0.5550 0.2312
O: 0.1440 0.3006 0.3354
O: 0.1565 0.3491 0.6792
O: 0.1575 0.7783 0.8414
O: 0.1842 0.4108 0.0829
O: 0.1856 0.8963 0.5748
O: 0.2970 0.1332 0.1687
O: 0.3700 0.2277 0.9001
O: 0.4197 0.9699 0.3267
O: 0.4712 0.9607 0.0038
O: 0.4848 0.4644 0.5102
O: 0.5236 0.5623 0.2389
O: 0.5278 0.0631 0.7497
O: 0.6273 0.7831 0.8391
O: 0.7064 0.9010 0.5747
O: 0.7520 0.6507 0.0343
O: 0.8155 0.6448 0.6676
O: 0.8301 0.1247 0.1768
O: 0.8548 0.2325 0.9045
O: 0.8623 0.7567 0.4215
O: 0.9670 0.4631 0.5045

DFT (PBE-GGA) results for U4N7 after structural relaxation.

Results
- Calculated total energy: -0.3983 Ha/atom
- Volume: 150 Å³/f.u.
- Symmetry: I4cm, No. 108
- Formation enthalpy at 0 K: -1.658 eV/atom

a b c (Å): 9.2042 9.2042 9.2042
angles (deg): 109.44 109.44 109.53
Positions (direct):
U: 0.0000 0.0000 0.0000
U: 0.0116 0.2385 0.7444
U: 0.2278 0.7278 0.9751
U: 0.2385 0.4941 0.2269
U: 0.2527 0.2278 0.5000
U: 0.2672 0.0116 0.7731
U: 0.4746 0.9746 0.5000
U: 0.4941 0.2672 0.2556
U: 0.5000 0.5000 0.0000
U: 0.5116 0.7672 0.7731
U: 0.7278 0.7527 0.5000
U: 0.7385 0.5116 0.7444
U: 0.7527 0.2527 0.0249
U: 0.7672 0.9941 0.2556
U: 0.9746 0.4746 0.5000
U: 0.9941 0.7385 0.2269
N: 0.0002 0.5002 0.2745
N: 0.0035 0.9772 0.7300
N: 0.0112 0.9893 0.2477
N: 0.0226 0.2524 0.5000
N: 0.2258 0.7258 0.7255
N: 0.2277 0.9572 0.5000
N: 0.2417 0.4893 0.9781
N: 0.2471 0.2735 0.2700
N: 0.2524 0.7524 0.2298
N: 0.2635 0.2417 0.7523
N: 0.2735 0.0035 0.0263
N: 0.4572 0.7277 0.5000
N: 0.4772 0.5035 0.7300
N: 0.4893 0.5112 0.2477
N: 0.5002 0.2258 0.5000
N: 0.5035 0.7735 0.0263
N: 0.5112 0.2635 0.0219
N: 0.5226 0.0226 0.7702
N: 0.7258 0.0002 0.5000
N: 0.7277 0.2277 0.2706
N: 0.7417 0.7635 0.7523
N: 0.7471 0.4772 0.9737
N: 0.7524 0.5226 0.5000
N: 0.7635 0.0112 0.0219
N: 0.7735 0.7471 0.2700
N: 0.9572 0.4572 0.7294
N: 0.9772 0.2471 0.9737
N: 0.9893 0.7417 0.9781